DFT (meta-GGA r2SCAN) results for a relaxed SmLuZn2 crystal.

Summary:
Space-group type: No. 225
Energy relative to the elements, eV/atom: -0.366
V, Å³ per cell: 89.4

Lattice parameters (Å, degrees): 5.019 5.019 5.019 60.00 60.00 60.00
Sites, in units of the cell vectors:
Lu (0.250, 0.250, 0.250)
Sm (0.750, 0.750, 0.750)
Zn (0.500, 0.500, 0.500)
Zn (0.000, 0.000, 0.000)

---

DFT (meta-GGA r2SCAN) results for a relaxed Lu5Sn3 crystal.

Summary:
Space-group type: No. 193
Energy relative to the elements, eV/atom: -0.776
V, Å³ per cell: 418.2

Lattice parameters (Å, degrees): 6.368 8.708 8.708 120.00 90.00 90.00
Sites, in units of the cell vectors:
Lu (0.750, 0.763, 0.763)
Lu (0.750, 0.237, 0.000)
Lu (0.250, 0.237, 0.237)
Lu (0.750, 0.000, 0.237)
Lu (0.000, 0.667, 0.333)
Lu (0.250, 0.000, 0.763)
Lu (0.250, 0.763, 0.000)
Lu (0.500, 0.667, 0.333)
Lu (0.000, 0.333, 0.667)
Lu (0.500, 0.333, 0.667)
Sn (0.250, 0.000, 0.395)
Sn (0.750, 0.000, 0.605)
Sn (0.250, 0.605, 0.605)
Sn (0.250, 0.395, 0.000)
Sn (0.750, 0.395, 0.395)
Sn (0.750, 0.605, 0.000)

---

DFT (meta-GGA r2SCAN) results for a relaxed LuTc2 crystal.

Summary:
Space-group type: No. 194
Energy relative to the elements, eV/atom: -0.309
V, Å³ per cell: 211.5

Lattice parameters (Å, degrees): 5.292 5.291 8.722 90.00 90.00 119.99
Sites, in units of the cell vectors:
Tc (0.344, 0.172, 0.250)
Tc (0.000, 0.000, 0.000)
Tc (0.172, 0.344, 0.750)
Tc (0.000, 0.000, 0.500)
Tc (0.828, 0.656, 0.250)
Tc (0.656, 0.828, 0.750)
Tc (0.828, 0.172, 0.250)
Tc (0.172, 0.828, 0.750)
Lu (0.667, 0.333, 0.937)
Lu (0.667, 0.333, 0.563)
Lu (0.333, 0.667, 0.437)
Lu (0.333, 0.667, 0.063)

---

DFT (meta-GGA r2SCAN) results for a relaxed Lu8Te crystal.

Summary:
Space-group type: No. 189
Energy relative to the elements, eV/atom: -0.337
V, Å³ per cell: 257.1

Lattice parameters (Å, degrees): 8.963 8.963 3.696 90.00 90.00 120.00
Sites, in units of the cell vectors:
Lu (0.277, 0.000, 0.000)
Lu (0.000, 0.611, 0.500)
Lu (0.389, 0.389, 0.500)
Lu (0.667, 0.333, 0.000)
Lu (0.000, 0.277, 0.000)
Lu (0.723, 0.723, 0.000)
Lu (0.611, 0.000, 0.500)
Lu (0.333, 0.667, 0.000)
Te (0.000, 0.000, 0.500)

---

DFT (meta-GGA r2SCAN) results for a relaxed LuTe3 crystal.

Summary:
Space-group type: No. 63
Energy relative to the elements, eV/atom: -0.931
V, Å³ per cell: 239.6

Lattice parameters (Å, degrees): 13.109 13.109 4.307 90.00 90.00 161.11
Sites, in units of the cell vectors:
Te (0.576, 0.424, 0.750)
Te (0.707, 0.293, 0.250)
Te (0.924, 0.076, 0.750)
Te (0.076, 0.924, 0.250)
Te (0.424, 0.576, 0.250)
Te (0.293, 0.707, 0.750)
Lu (0.828, 0.172, 0.250)
Lu (0.172, 0.828, 0.750)

---

DFT (meta-GGA r2SCAN) results for a relaxed Lu3Th crystal.

Summary:
Space-group type: No. 187
Energy relative to the elements, eV/atom: 0.026
V, Å³ per cell: 121.3
Distance to the lowest polymorph of the same formula, eV per atom: 0.004

Lattice parameters (Å, degrees): 3.527 3.527 11.254 90.00 90.00 120.00
Sites, in units of the cell vectors:
Lu (0.667, 0.333, 0.244)
Lu (0.333, 0.667, 0.000)
Lu (0.667, 0.333, 0.756)
Th (0.333, 0.667, 0.500)